Arrangement a

## Li3V3P8O29 (PBE with a Hubbard U)

Data for a relaxed structure of Li3V3P8O29.

Values from the calculation:
V: 1151.31 Å³/cell
space group: C2/c

a b c (Å): 9.755 9.755 13.998
angles (deg): 89.41 89.41 59.82
Atoms (fractional coordinates):
1 P 0.087 0.229 0.156
2 P 0.337 0.327 0.371
3 P 0.913 0.771 0.844
4 P 0.771 0.913 0.344
5 P 0.663 0.673 0.629
6 P 0.695 0.223 0.656
7 P 0.305 0.777 0.344
8 P 0.229 0.087 0.656
9 P 0.309 0.912 0.841
10 P 0.088 0.691 0.659
11 P 0.327 0.337 0.871
12 P 0.777 0.305 0.844
13 P 0.673 0.663 0.129
14 P 0.223 0.695 0.156
15 P 0.691 0.088 0.159
16 P 0.912 0.309 0.341
17 O 0.186 0.479 0.325
18 O 0.384 0.089 0.674
19 O 0.618 0.464 0.828
20 O 0.657 0.084 0.664
21 O 0.741 0.913 0.832
22 O 0.089 0.384 0.174
23 O 0.739 0.345 0.336
24 O 0.792 0.008 0.256
25 O 0.672 0.669 0.523
26 O 0.382 0.536 0.172
27 O 0.464 0.618 0.328
28 O 0.203 0.797 0.250
29 O 0.345 0.739 0.836
30 O 0.212 0.005 0.924
31 O 0.913 0.741 0.332
32 O 0.017 0.221 0.064
33 O 0.084 0.657 0.164
34 O 0.787 0.208 0.568
35 O 0.655 0.261 0.164
36 O 0.616 0.911 0.326
37 O 0.995 0.788 0.576
38 O 0.669 0.672 0.023
39 O 0.992 0.208 0.244
40 O 0.521 0.814 0.175
41 O 0.532 0.087 0.172
42 O 0.087 0.532 0.672
43 O 0.819 0.668 0.170
44 O 0.005 0.212 0.424
45 O 0.331 0.328 0.977
46 O 0.911 0.616 0.826
47 O 0.779 0.983 0.436
48 O 0.983 0.779 0.936
49 O 0.520 0.667 0.676
50 O 0.668 0.819 0.670
51 O 0.480 0.333 0.324
52 O 0.261 0.655 0.664
53 O 0.221 0.017 0.564
54 O 0.208 0.992 0.744
55 O 0.536 0.382 0.672
56 O 0.328 0.331 0.477
57 O 0.479 0.186 0.825
58 O 0.332 0.181 0.330
59 O 0.797 0.203 0.750
60 O 0.008 0.792 0.756
61 O 0.913 0.468 0.328
62 O 0.468 0.913 0.828
63 O 0.087 0.259 0.668
64 O 0.667 0.520 0.176
65 O 0.343 0.916 0.336
66 O 0.814 0.521 0.675
67 O 0.259 0.087 0.168
68 O 0.181 0.332 0.830
69 O 0.916 0.343 0.836
70 O 0.788 0.995 0.076
71 O 0.792 0.213 0.932
72 O 0.213 0.792 0.432
73 O 0.208 0.787 0.068
74 O 0.333 0.480 0.824
75 V 0.563 0.437 0.250
76 V 0.994 0.437 0.744
77 V 0.006 0.563 0.256
78 V 0.437 0.994 0.244
79 V 0.563 0.006 0.756
80 V 0.437 0.563 0.750
81 Li 0.903 0.764 0.060
82 Li 0.000 0.000 0.000
83 Li 0.764 0.903 0.560
84 Li 0.000 0.000 0.500
85 Li 0.236 0.097 0.440
86 Li 0.097 0.236 0.940

***

Arrangement b

## Li3V3P8O29 (PBE with a Hubbard U)

Data for a relaxed structure of Li3V3P8O29.

Values from the calculation:
V: 1173.88 Å³/cell
space group: P1

a b c (Å): 9.780 9.781 14.150
angles (deg): 89.62 89.65 60.14
Atoms (fractional coordinates):
1 P 0.087 0.226 0.340
2 P 0.316 0.912 0.660
3 P 0.659 0.667 0.371
4 P 0.327 0.339 0.129
5 P 0.679 0.090 0.341
6 P 0.085 0.681 0.840
7 P 0.225 0.087 0.842
8 P 0.773 0.910 0.160
9 P 0.913 0.773 0.656
10 P 0.671 0.663 0.869
11 P 0.314 0.772 0.158
12 P 0.339 0.333 0.631
13 P 0.766 0.320 0.658
14 P 0.914 0.322 0.158
15 P 0.684 0.230 0.842
16 P 0.233 0.683 0.342
17 O 0.000 0.764 0.570
18 O 0.790 0.000 0.250
19 O 0.524 0.662 0.825
20 O 0.477 0.618 0.175
21 O 0.344 0.328 0.526
22 O 0.670 0.816 0.829
23 O 0.521 0.095 0.319
24 O 0.489 0.180 0.673
25 O 0.907 0.480 0.182
26 O 0.906 0.618 0.677
27 O 0.524 0.383 0.825
28 O 0.340 0.478 0.677
29 O 0.992 0.236 0.424
30 O 0.912 0.342 0.665
31 O 0.081 0.258 0.836
32 O 0.749 0.011 0.432
33 O 0.187 0.335 0.674
34 O 0.615 0.479 0.677
35 O 0.919 0.742 0.166
36 O 0.254 0.989 0.568
37 O 0.820 0.514 0.827
38 O 0.385 0.524 0.322
39 O 0.097 0.381 0.325
40 O 0.001 0.754 0.930
41 O 0.380 0.096 0.820
42 O 0.745 0.346 0.170
43 O 0.336 0.334 0.025
44 O 0.090 0.655 0.335
45 O 0.239 0.764 0.428
46 O 0.763 0.989 0.069
47 O 0.011 0.204 0.244
48 O 0.987 0.256 0.066
49 O 0.209 0.792 0.250
50 O 0.619 0.902 0.179
51 O 0.512 0.817 0.329
52 O 0.771 0.236 0.925
53 O 0.757 0.245 0.568
54 O 0.478 0.337 0.175
55 O 0.658 0.258 0.335
56 O 0.479 0.903 0.682
57 O 0.666 0.515 0.330
58 O 0.180 0.487 0.170
59 O 0.094 0.521 0.821
60 O 0.665 0.666 0.476
61 O 0.254 0.657 0.834
62 O 0.743 0.918 0.663
63 O 0.257 0.082 0.339
64 O 0.333 0.186 0.175
65 O 0.812 0.666 0.327
66 O 0.234 0.763 0.072
67 O 0.660 0.084 0.841
68 O 0.342 0.744 0.671
69 O 0.674 0.664 0.974
70 O 0.204 0.008 0.746
71 O 0.785 0.205 0.745
72 O 0.343 0.913 0.166
73 O 0.992 0.795 0.753
74 O 0.238 0.000 0.929
75 V 0.995 0.570 0.260
76 V 0.562 0.000 0.752
77 V 0.563 0.433 0.243
78 V 0.431 0.003 0.245
79 V 0.002 0.433 0.743
80 V 0.431 0.569 0.753
81 Li 0.094 0.682 0.057
82 Li 0.915 0.310 0.942
83 Li 0.310 0.912 0.443
84 Li 0.693 0.082 0.558
85 Li 0.774 0.915 0.942
86 Li 0.773 0.320 0.442

***

Which structure is most stable, and how do the rest compare? From most to least stable: arrangement a, arrangement b.

***

Arrangement a

## Li3V3P8O29 (PBE with a Hubbard U)

Data for a relaxed structure of Li3V3P8O29.

Values from the calculation:
V: 1191.49 Å³/cell
space group: P1

a b c (Å): 9.760 9.777 14.389
angles (deg): 90.37 89.98 119.80
Atoms (fractional coordinates):
1 Li 0.921 0.697 0.449
2 Li 0.077 0.785 0.047
3 Li 0.220 0.301 0.054
4 Li 0.658 0.322 0.608
5 Li 0.012 0.064 0.521
6 Li 0.702 0.919 0.052
7 O 0.619 0.522 0.179
8 O 0.918 0.263 0.667
9 O 0.259 0.347 0.327
10 O 0.476 0.660 0.675
11 O 0.382 0.917 0.329
12 O 0.992 0.787 0.749
13 O 0.015 0.222 0.429
14 O 0.480 0.818 0.179
15 O 0.009 0.768 0.926
16 O 0.656 0.912 0.333
17 O 0.350 0.083 0.665
18 O 0.733 0.651 0.667
19 O 0.660 0.746 0.829
20 O 0.475 0.093 0.183
21 O 0.380 0.475 0.819
22 O 0.787 0.782 0.423
23 O 0.525 0.907 0.817
24 O 0.233 0.993 0.078
25 O 0.992 0.201 0.253
26 O 0.182 0.520 0.675
27 O 0.238 0.250 0.932
28 O 0.470 0.374 0.666
29 O 0.672 0.343 0.473
30 O 0.916 0.657 0.162
31 O 0.255 0.916 0.828
32 O 0.004 0.236 0.079
33 O 0.672 0.189 0.328
34 O 0.820 0.344 0.821
35 O 0.340 0.520 0.175
36 O 0.817 0.490 0.330
37 O 0.626 0.093 0.663
38 O 0.811 0.008 0.580
39 O 0.666 0.335 0.967
40 O 0.082 0.465 0.327
41 O 0.206 0.990 0.430
42 O 0.086 0.339 0.830
43 O 0.340 0.255 0.164
44 O 0.527 0.181 0.817
45 O 0.336 0.815 0.674
46 O 0.095 0.619 0.818
47 O 0.752 0.989 0.931
48 O 0.206 0.002 0.252
49 O 0.761 0.763 0.074
50 O 0.654 0.474 0.819
51 O 0.534 0.617 0.327
52 O 0.203 0.196 0.582
53 O 0.519 0.332 0.326
54 O 0.329 0.663 0.527
55 O 0.740 0.081 0.164
56 O 0.894 0.517 0.669
57 O 0.327 0.668 0.033
58 O 0.794 0.793 0.248
59 O 0.182 0.660 0.181
60 O 0.902 0.379 0.181
61 O 0.083 0.741 0.333
62 O 0.215 0.199 0.758
63 O 0.801 0.013 0.756
64 O 0.981 0.767 0.572
65 P 0.232 0.315 0.841
66 P 0.314 0.085 0.162
67 P 0.336 0.667 0.136
68 P 0.694 0.776 0.340
69 P 0.685 0.917 0.840
70 P 0.309 0.219 0.661
71 P 0.910 0.224 0.162
72 P 0.221 0.916 0.344
73 P 0.331 0.664 0.630
74 P 0.782 0.087 0.659
75 P 0.671 0.338 0.370
76 P 0.770 0.682 0.158
77 P 0.085 0.307 0.343
78 P 0.905 0.680 0.659
79 P 0.667 0.333 0.864
80 P 0.085 0.770 0.837
81 V 0.567 0.573 0.750
82 V 0.439 0.434 0.255
83 V 0.426 0.994 0.748
84 V 0.001 0.562 0.251
85 V 0.004 0.429 0.750
86 V 0.563 0.002 0.258

***

Arrangement b

## Li3V3P8O29 (PBE with a Hubbard U)

Data for a relaxed structure of Li3V3P8O29.

Values from the calculation:
V: 1163.30 Å³/cell
space group: P1

a b c (Å): 9.749 9.760 14.112
angles (deg): 89.93 89.88 60.04
Atoms (fractional coordinates):
1 O 0.813 0.669 0.825
2 O 0.209 0.992 0.255
3 O 0.335 0.182 0.672
4 O 0.340 0.917 0.660
5 O 0.914 0.345 0.164
6 O 0.617 0.467 0.172
7 O 0.084 0.382 0.829
8 O 0.664 0.668 0.975
9 O 0.084 0.257 0.331
10 O 0.527 0.091 0.826
11 O 0.667 0.518 0.825
12 O 0.818 0.522 0.322
13 O 0.211 0.798 0.756
14 O 0.222 0.762 0.935
15 O 0.095 0.522 0.321
16 O 0.661 0.817 0.322
17 O 0.008 0.784 0.078
18 O 0.666 0.668 0.474
19 O 0.523 0.660 0.324
20 O 0.750 0.238 0.435
21 O 0.798 0.210 0.257
22 O 0.229 0.763 0.576
23 O 0.188 0.331 0.174
24 O 0.618 0.906 0.679
25 O 0.256 0.658 0.331
26 O 0.381 0.097 0.320
27 O 0.335 0.339 0.023
28 O 0.762 0.017 0.935
29 O 0.489 0.185 0.168
30 O 0.239 0.010 0.433
31 O 0.476 0.619 0.678
32 O 0.517 0.815 0.825
33 O 0.785 0.210 0.078
34 O 0.915 0.618 0.170
35 O 0.344 0.739 0.163
36 O 0.085 0.656 0.831
37 O 0.742 0.917 0.160
38 O 0.007 0.232 0.572
39 O 0.183 0.481 0.674
40 O 0.383 0.526 0.825
41 O 0.989 0.799 0.257
42 O 0.657 0.085 0.331
43 O 0.917 0.742 0.661
44 O 0.996 0.208 0.751
45 O 0.328 0.488 0.170
46 O 0.212 0.995 0.073
47 O 0.006 0.209 0.930
48 O 0.484 0.334 0.672
49 O 0.521 0.381 0.322
50 O 0.466 0.916 0.172
51 O 0.763 0.007 0.576
52 O 0.798 0.990 0.756
53 O 0.334 0.334 0.525
54 O 0.657 0.258 0.830
55 O 0.906 0.475 0.678
56 O 0.010 0.751 0.435
57 O 0.744 0.340 0.660
58 O 0.257 0.087 0.831
59 P 0.308 0.914 0.158
60 P 0.671 0.663 0.370
61 P 0.772 0.913 0.660
62 P 0.687 0.087 0.843
63 P 0.915 0.314 0.658
64 P 0.334 0.333 0.631
65 P 0.336 0.334 0.128
66 P 0.775 0.310 0.160
67 P 0.683 0.228 0.343
68 P 0.085 0.683 0.343
69 P 0.314 0.772 0.659
70 P 0.227 0.088 0.341
71 P 0.666 0.667 0.871
72 P 0.083 0.223 0.844
73 P 0.226 0.686 0.843
74 P 0.915 0.776 0.159
75 Li 0.088 0.686 0.557
76 Li 0.685 0.225 0.557
77 Li 0.013 0.030 0.004
78 Li 0.226 0.089 0.556
79 Li 0.235 0.669 0.060
80 Li 0.669 0.097 0.060
81 V 0.567 0.436 0.752
82 V 0.434 0.567 0.254
83 V 0.435 0.998 0.754
84 V 0.565 0.998 0.251
85 V 0.004 0.430 0.246
86 V 0.997 0.564 0.754

***

Which structure is most stable, and how do the rest compare? From most to least stable: arrangement b, arrangement a.